## ReN2 (PBE)

Data for a relaxed structure of ReN2.

a = 2.9290 Å, b = 2.9290 Å, c = 7.7821 Å
α = 90.00°, β = 90.00°, γ = 120.00°
Element x y z (fractional)
Re1 0.3333 0.6667 0.2500
Re2 0.6667 0.3333 0.7500
N1 0.0000 0.0000 0.0865
N2 0.0000 0.0000 0.4135
N3 0.0000 0.0000 0.5865
N4 0.0000 0.0000 0.9135


## BaSrDySbO6 (PBE)

Data for a relaxed structure of BaSrDySbO6.

a = 5.9615 Å, b = 5.9622 Å, c = 8.4272 Å
α = 90.16°, β = 90.18°, γ = 90.22°
Element x y z (fractional)
Ba1 0.0175 0.0042 0.2497
Ba2 0.9825 0.9958 0.7503
Sr1 0.4768 0.5032 0.7492
Sr2 0.5232 0.4968 0.2508
Dy1 0.0000 0.5000 0.0000
Dy2 0.5000 0.0000 0.5000
Sb1 0.0000 0.5000 0.5000
Sb2 0.5000 0.0000 0.0000
O1 0.0149 0.4518 0.7364
O2 0.2148 0.7585 0.5276
O3 0.2399 0.7872 0.9710
O4 0.2685 0.2962 0.4702
O5 0.2942 0.2659 0.0314
O6 0.4962 0.9365 0.2359
O7 0.5038 0.0635 0.7641
O8 0.7058 0.7341 0.9686
O9 0.7315 0.7038 0.5298
O10 0.7601 0.2128 0.0290
O11 0.7852 0.2415 0.4724
O12 0.9851 0.5482 0.2636


## SmInCu2 (PBE)

Data for a relaxed structure of SmInCu2.

a = 4.7534 Å, b = 4.7534 Å, c = 4.7534 Å
α = 60.00°, β = 60.00°, γ = 60.00°
Element x y z (fractional)
Sm1 0.0000 0.0000 0.0000
In1 0.5000 0.5000 0.5000
Cu1 0.2500 0.2500 0.2500
Cu2 0.7500 0.7500 0.7500


## La2C2N4O (PBE)

Data for a relaxed structure of La2C2N4O.

a = 7.4801 Å, b = 7.4801 Å, c = 6.1407 Å
α = 103.36°, β = 103.36°, γ = 49.65°
Element x y z (fractional)
La1 0.1148 0.6847 0.9245
La2 0.3153 0.8852 0.5755
La3 0.6847 0.1148 0.4245
La4 0.8852 0.3153 0.0755
C1 0.1212 0.5736 0.3885
C2 0.4264 0.8788 0.1115
C3 0.5736 0.1212 0.8885
C4 0.8788 0.4264 0.6115
N1 0.0498 0.3671 0.7535
N2 0.2906 0.5250 0.5310
N3 0.3671 0.0498 0.2535
N4 0.4750 0.7094 0.9690
N5 0.5250 0.2906 0.0310
N6 0.6329 0.9502 0.7465
N7 0.7094 0.4750 0.4690
N8 0.9502 0.6329 0.2465
O1 0.0261 0.9739 0.2500
O2 0.9739 0.0261 0.7500


## Na4Nb3InSi4P2O24 (PBE)

Data for a relaxed structure of Na4Nb3InSi4P2O24.

a = 9.0058 Å, b = 9.0094 Å, c = 22.7658 Å
α = 89.90°, β = 89.90°, γ = 60.12°
Element x y z (fractional)
Na1 0.0000 0.0000 0.0000
Na2 0.0020 0.9957 0.5083
Na3 0.0057 0.6523 0.7597
Na4 0.2923 0.0478 0.4218
Na5 0.3280 0.3509 0.3408
Na6 0.3380 0.9715 0.0878
Na7 0.3485 0.3420 0.8405
Na8 0.3520 0.0194 0.7596
Na9 0.6678 0.6667 0.6706
Na10 0.6763 0.3017 0.4208
Na11 0.6797 0.6734 0.1749
Na12 0.6972 0.3543 0.0897
Nb1 0.0000 0.0118 0.6528
Nb2 0.0054 0.0088 0.1570
Nb3 0.3262 0.3499 0.9850
Nb4 0.3334 0.3465 0.1971
Nb5 0.3340 0.3471 0.4891
Nb6 0.3381 0.3445 0.6929
Nb7 0.6603 0.6788 0.3190
Nb8 0.6640 0.6851 0.5321
Nb9 0.6667 0.6735 0.8212
In1 0.0004 0.0038 0.3604
In2 0.0006 0.0118 0.8584
In3 0.6728 0.6760 0.0272
Si1 0.0007 0.2994 0.7583
Si2 0.0441 0.6351 0.5922
Si3 0.0445 0.3457 0.0921
Si4 0.2898 0.7191 0.7587
Si5 0.2935 0.0116 0.2610
Si6 0.3272 0.6361 0.0911
Si7 0.3305 0.0557 0.5912
Si8 0.3776 0.6764 0.4260
Si9 0.6280 0.3421 0.5902
Si10 0.6692 0.9654 0.4252
Si11 0.7090 0.0157 0.7596
Si12 0.7102 0.3025 0.2601
P1 0.0002 0.7180 0.2582
P2 0.3748 0.9704 0.9271
P3 0.6209 0.0612 0.0916
P4 0.6682 0.3819 0.9276
P5 0.9538 0.3981 0.4257
P6 0.9592 0.6794 0.9255
O1 0.0290 0.8219 0.5985
O2 0.0332 0.1664 0.0988
O3 0.0412 0.7836 0.3137
O4 0.0626 0.1774 0.8146
O5 0.1340 0.5183 0.6504
O6 0.1370 0.3755 0.4303
O7 0.1394 0.5057 0.9303
O8 0.1494 0.3592 0.1479
O9 0.1547 0.8252 0.0979
O10 0.1575 0.5369 0.2472
O11 0.1606 0.0373 0.5976
O12 0.1615 0.3353 0.7476
O13 0.1688 0.5348 0.5352
O14 0.1706 0.7827 0.8155
O15 0.1720 0.3100 0.0342
O16 0.1873 0.0477 0.3206
O17 0.1953 0.9954 0.9220
O18 0.1975 0.8519 0.4241
O19 0.1966 0.9828 0.2023
O20 0.2029 0.8490 0.7023
O21 0.3073 0.5346 0.0331
O22 0.3092 0.1718 0.5324
O23 0.3189 0.5266 0.7476
O24 0.3206 0.1753 0.2478
O25 0.3572 0.1464 0.6492
O26 0.3588 0.5091 0.1466
O27 0.3681 0.1492 0.9305
O28 0.3707 0.4974 0.4300
O29 0.4536 0.8729 0.9845
O30 0.4795 0.7066 0.7681
O31 0.4832 0.6929 0.4819
O32 0.4843 0.8376 0.2638
O33 0.4871 0.1522 0.4297
O34 0.4916 0.8750 0.8722
O35 0.4936 0.6611 0.0887
O36 0.4975 0.3734 0.9297
O37 0.5029 0.3688 0.6463
O38 0.5027 0.8663 0.5856
O39 0.5041 0.6440 0.3677
O40 0.5080 0.1495 0.1461
O41 0.5105 0.1691 0.7489
O42 0.5176 0.3317 0.2472
O43 0.5336 0.3165 0.5316
O44 0.5351 0.1766 0.0364
O45 0.6326 0.8861 0.0882
O46 0.6424 0.8666 0.3681
O47 0.6458 0.5119 0.5840
O48 0.6474 0.5041 0.8740
O49 0.6855 0.4596 0.9854
O50 0.6853 0.8480 0.4827
O51 0.6900 0.8385 0.7680
O52 0.6988 0.4908 0.2634
O53 0.7759 0.0552 0.8185
O54 0.7761 0.1963 0.3202
O55 0.7981 0.0498 0.0981
O56 0.8123 0.1693 0.5982
O57 0.8237 0.2043 0.9216
O58 0.8282 0.9997 0.4251
O59 0.8314 0.4944 0.7679
O60 0.8321 0.2014 0.2015
O61 0.8378 0.7020 0.2620
O62 0.8398 0.9705 0.7031
O63 0.8423 0.4872 0.4802
O64 0.8523 0.5044 0.0906
O65 0.8573 0.6503 0.5844
O66 0.8579 0.6981 0.9810
O67 0.8675 0.5050 0.3695
O68 0.8710 0.6541 0.8695
O69 0.9670 0.2088 0.7012
O70 0.9723 0.2185 0.4237
O71 0.9776 0.8356 0.2039
O72 0.9903 0.8296 0.9214


## Ba51Pd24O10 (PBE)

Data for a relaxed structure of Ba51Pd24O10.

a = 11.2014 Å, b = 11.2312 Å, c = 27.6901 Å
α = 89.78°, β = 89.93°, γ = 60.26°
Element x y z (fractional)
Ba1 0.0000 0.0000 0.0000
Ba2 0.0002 0.0003 0.1508
Ba3 0.0702 0.4653 0.5351
Ba4 0.0953 0.4345 0.3768
Ba5 0.0990 0.4493 0.1264
Ba6 0.1048 0.7624 0.7107
Ba7 0.1153 0.7685 0.4589
Ba8 0.1198 0.1195 0.7108
Ba9 0.1235 0.1219 0.4537
Ba10 0.1320 0.1316 0.8684
Ba11 0.1315 0.7373 0.8687
Ba12 0.2090 0.2095 0.2653
Ba13 0.2168 0.2164 0.0102
Ba14 0.2165 0.5690 0.2597
Ba15 0.2304 0.5670 0.0096
Ba16 0.2342 0.9005 0.3437
Ba17 0.2400 0.8809 0.5918
Ba18 0.3334 0.3333 0.6667
Ba19 0.3336 0.3336 0.8180
Ba20 0.4033 0.7981 0.2019
Ba21 0.4293 0.7707 0.0439
Ba22 0.4334 0.7823 0.7930
Ba23 0.4501 0.1000 0.1271
Ba24 0.4499 0.1002 0.3763
Ba25 0.4558 0.4543 0.1215
Ba26 0.4642 0.4655 0.5352
Ba27 0.4653 0.0699 0.5353
Ba28 0.4709 0.4339 0.3769
Ba29 0.5431 0.5433 0.9307
Ba30 0.5480 0.9049 0.9251
Ba31 0.5504 0.5492 0.6767
Ba32 0.5639 0.9004 0.6763
Ba33 0.5672 0.2304 0.0095
Ba34 0.5820 0.2102 0.2653
Ba35 0.6662 0.6674 0.4849
Ba36 0.6672 0.6662 0.3339
Ba37 0.7374 0.1314 0.8685
Ba38 0.7546 0.1215 0.4537
Ba39 0.7625 0.1039 0.7108
Ba40 0.7714 0.4287 0.0440
Ba41 0.7828 0.4327 0.7931
Ba42 0.7866 0.7863 0.0441
Ba43 0.7887 0.7882 0.7883
Ba44 0.7979 0.4039 0.2019
Ba45 0.7982 0.7978 0.2017
Ba46 0.8652 0.9006 0.3436
Ba47 0.8760 0.8774 0.5972
Ba48 0.8810 0.2375 0.5919
Ba49 0.8854 0.2303 0.3439
Ba50 0.9010 0.5639 0.6763
Ba51 0.9053 0.5477 0.9253
Pd1 0.0010 0.0010 0.7963
Pd2 0.0034 0.9958 0.2607
Pd3 0.0395 0.4785 0.7818
Pd4 0.1445 0.7062 0.1148
Pd5 0.1466 0.1469 0.1139
Pd6 0.1936 0.1930 0.6031
Pd7 0.1939 0.6136 0.6027
Pd8 0.2796 0.8616 0.9360
Pd9 0.3314 0.3325 0.9279
Pd10 0.3331 0.3347 0.4633
Pd11 0.3737 0.8116 0.4490
Pd12 0.4780 0.0399 0.7815
Pd13 0.4795 0.4802 0.7809
Pd14 0.5275 0.5281 0.2693
Pd15 0.5277 0.9457 0.2687
Pd16 0.6124 0.1947 0.6033
Pd17 0.6642 0.6657 0.5946
Pd18 0.6673 0.6676 0.1296
Pd19 0.7072 0.1446 0.1138
Pd20 0.8152 0.3741 0.4486
Pd21 0.8155 0.8104 0.4482
Pd22 0.8601 0.8598 0.9362
Pd23 0.8617 0.2799 0.9360
Pd24 0.9465 0.5275 0.2686
O1 0.0012 0.0021 0.6502
O2 0.0030 0.9944 0.4029
O3 0.1680 0.1663 0.3597
O4 0.3303 0.3304 0.0689
O5 0.3329 0.3362 0.3165
O6 0.5007 0.5000 0.0259
O7 0.6635 0.6641 0.7357
O8 0.6663 0.1663 0.3598
O9 0.6681 0.6681 0.9836
O10 0.8338 0.8335 0.6926


Number 1: formation enthalpy at 0 K 144 meV/atom. Number 2: formation enthalpy at 0 K -3087 meV/atom. Number 3: formation enthalpy at 0 K -306 meV/atom. Number 4: formation enthalpy at 0 K -1371 meV/atom. Number 5: formation enthalpy at 0 K -2866 meV/atom. Number 6: formation enthalpy at 0 K -947 meV/atom.